Material: Na2ThF6
Method: DFT, PBE
State: relaxed

CIF file:
```
data_Na2ThF6
_symmetry_space_group_name_H-M 'P 1'
_symmetry_Int_Tables_number 1
_cell_length_a 6.078
_cell_length_b 6.078
_cell_length_c 3.869
_cell_angle_alpha 90.00
_cell_angle_beta 90.00
_cell_angle_gamma 120.00
loop_
_symmetry_equiv_pos_as_xyz
'x,y,z'
loop_
_atom_site_label
_atom_site_type_symbol
_atom_site_fract_x
_atom_site_fract_y
_atom_site_fract_z
Na1 Na 0.333 0.667 0.403
Na2 Na 0.667 0.333 0.597
Th1 Th 0.000 0.000 0.000
F1 F 0.000 0.251 0.500
F2 F 0.000 0.626 0.000
F3 F 0.251 0.000 0.500
F4 F 0.374 0.374 0.000
F5 F 0.626 0.000 0.000
F6 F 0.749 0.749 0.500
```

Values from the calculation:
- Piezoelectric modulus e_max: 0.27 C/m2
- E: -5.9288 eV per atom
- E_form: -3843 meV per atom